No. 1
Density functional theory data (PBE with a Hubbard U) for a relaxed TlCr4BiO14 crystal.

Properties
- ΔH_f (0 K) (meV/atom) = -1609
- magnetization (μB/atom) = 0.000
- total DFT energy (no corrections) (Ry per atom) = -0.473

Cell lengths 8.777, 17.269, 8.404 Å; angles 90.00, 91.65, 90.00 degrees
Atoms (fractional coordinates):
Tl 0.000 0.124 0.236
Tl 0.000 0.376 0.736
Tl 0.000 0.624 0.264
Tl 0.000 0.876 0.764
Cr 0.226 0.552 0.631
Cr 0.226 0.948 0.131
Cr 0.263 0.204 0.834
Cr 0.263 0.296 0.334
Cr 0.282 0.684 0.917
Cr 0.282 0.816 0.417
Cr 0.294 0.059 0.588
Cr 0.294 0.441 0.088
Cr 0.706 0.559 0.912
Cr 0.706 0.941 0.412
Cr 0.718 0.184 0.583
Cr 0.718 0.316 0.083
Cr 0.737 0.704 0.666
Cr 0.737 0.796 0.166
Cr 0.774 0.052 0.869
Cr 0.774 0.448 0.369
Bi 0.493 0.623 0.292
Bi 0.493 0.877 0.792
Bi 0.507 0.123 0.208
Bi 0.507 0.377 0.708
O 0.043 0.548 0.641
O 0.043 0.952 0.141
O 0.115 0.208 0.941
O 0.115 0.292 0.441
O 0.119 0.721 0.876
O 0.119 0.779 0.376
O 0.156 0.016 0.494
O 0.156 0.484 0.994
O 0.217 0.146 0.666
O 0.217 0.354 0.166
O 0.271 0.600 0.469
O 0.271 0.900 0.969
O 0.290 0.660 0.112
O 0.290 0.840 0.612
O 0.294 0.037 0.132
O 0.294 0.463 0.632
O 0.302 0.205 0.273
O 0.302 0.295 0.773
O 0.307 0.601 0.798
O 0.307 0.899 0.298
O 0.364 0.004 0.731
O 0.364 0.496 0.231
O 0.406 0.166 0.933
O 0.406 0.334 0.433
O 0.417 0.745 0.874
O 0.417 0.755 0.374
O 0.429 0.082 0.462
O 0.429 0.418 0.962
O 0.571 0.582 0.038
O 0.571 0.918 0.538
O 0.583 0.245 0.626
O 0.583 0.255 0.126
O 0.594 0.666 0.567
O 0.594 0.834 0.067
O 0.636 0.504 0.769
O 0.636 0.996 0.269
O 0.693 0.101 0.702
O 0.693 0.399 0.202
O 0.698 0.705 0.227
O 0.698 0.795 0.727
O 0.706 0.537 0.368
O 0.706 0.963 0.868
O 0.710 0.160 0.388
O 0.710 0.340 0.888
O 0.729 0.100 0.031
O 0.729 0.400 0.531
O 0.783 0.646 0.834
O 0.783 0.854 0.334
O 0.844 0.516 0.006
O 0.844 0.984 0.506
O 0.881 0.221 0.624
O 0.881 0.279 0.124
O 0.885 0.708 0.559
O 0.885 0.792 0.059
O 0.957 0.048 0.859
O 0.957 0.452 0.359

No. 2
Density functional theory data (PBE with a Hubbard U) for a relaxed BaV6O11 crystal.

Properties
- ΔH_f (0 K) (meV/atom) = -2616
- energy above the lowest structure with this stoichiometry (eV/atom) = 0.019
- magnetization (μB/atom) = 0.556
- total DFT energy (no corrections) (Ry per atom) = -0.572

Cell lengths 5.955, 5.955, 13.552 Å; angles 90.00, 90.00, 120.66 degrees
Atoms (fractional coordinates):
Ba 0.165 0.835 0.500
Ba 0.835 0.165 0.000
V 0.001 0.999 0.249
V 0.011 0.510 0.748
V 0.169 0.831 0.998
V 0.490 0.989 0.748
V 0.495 0.505 0.393
V 0.497 0.503 0.103
V 0.503 0.497 0.603
V 0.505 0.495 0.893
V 0.510 0.011 0.248
V 0.831 0.169 0.498
V 0.989 0.490 0.248
V 0.999 0.001 0.749
O 0.148 0.327 0.170
O 0.158 0.338 0.829
O 0.168 0.832 0.835
O 0.173 0.827 0.168
O 0.203 0.347 0.498
O 0.327 0.148 0.670
O 0.328 0.672 0.666
O 0.337 0.663 0.330
O 0.338 0.158 0.329
O 0.347 0.203 0.998
O 0.355 0.645 0.996
O 0.645 0.355 0.496
O 0.653 0.797 0.498
O 0.662 0.842 0.829
O 0.663 0.337 0.830
O 0.672 0.328 0.166
O 0.673 0.852 0.170
O 0.797 0.653 0.998
O 0.827 0.173 0.668
O 0.832 0.168 0.335
O 0.842 0.662 0.329
O 0.852 0.673 0.670

No. 3
Density functional theory data (PBE with a Hubbard U) for a relaxed Li9Mn2Co5O16 crystal.

Properties
- ΔH_f (0 K) (meV/atom) = -1853
- energy above the lowest structure with this stoichiometry (eV/atom) = 0.011
- magnetization (μB/atom) = 0.313
- total DFT energy (no corrections) (Ry per atom) = -0.429

Cell lengths 7.734, 7.734, 5.148 Å; angles 104.06, 104.06, 96.28 degrees
Atoms (fractional coordinates):
Li 0.000 0.000 0.000
Li 0.000 0.500 0.500
Li 0.125 0.375 0.998
Li 0.245 0.245 0.490
Li 0.375 0.125 0.998
Li 0.500 0.000 0.500
Li 0.625 0.875 0.002
Li 0.755 0.755 0.510
Li 0.875 0.625 0.002
Mn 0.125 0.875 0.500
Mn 0.875 0.125 0.500
Co 0.248 0.752 0.000
Co 0.374 0.626 0.500
Co 0.500 0.500 0.000
Co 0.626 0.374 0.500
Co 0.752 0.248 0.000
O 0.025 0.762 0.747
O 0.117 0.117 0.717
O 0.127 0.635 0.272
O 0.238 0.975 0.253
O 0.263 0.518 0.765
O 0.365 0.873 0.728
O 0.381 0.381 0.262
O 0.482 0.737 0.235
O 0.518 0.263 0.765
O 0.619 0.619 0.738
O 0.635 0.127 0.272
O 0.737 0.482 0.235
O 0.762 0.025 0.747
O 0.873 0.365 0.728
O 0.883 0.883 0.283
O 0.975 0.238 0.253

No. 4
Density functional theory data (PBE with a Hubbard U) for a relaxed KCo2As2HO8 crystal.

Properties
- ΔH_f (0 K) (meV/atom) = -1679
- magnetization (μB/atom) = 0.429
- total DFT energy (no corrections) (Ry per atom) = -0.432

Cell lengths 8.899, 5.083, 16.079 Å; angles 90.00, 96.73, 90.00 degrees
Atoms (fractional coordinates):
K 0.000 0.131 0.250
K 0.000 0.869 0.750
K 0.500 0.161 0.750
K 0.500 0.839 0.250
Co 0.085 0.239 0.505
Co 0.085 0.761 0.005
Co 0.417 0.241 0.500
Co 0.417 0.759 0.000
Co 0.583 0.241 0.000
Co 0.583 0.759 0.500
Co 0.915 0.239 0.995
Co 0.915 0.761 0.495
As 0.228 0.275 0.896
As 0.228 0.725 0.396
As 0.274 0.270 0.111
As 0.274 0.730 0.611
As 0.726 0.270 0.389
As 0.726 0.730 0.889
As 0.772 0.275 0.604
As 0.772 0.725 0.104
H 0.238 0.472 0.760
H 0.238 0.528 0.260
H 0.762 0.472 0.740
H 0.762 0.528 0.240
O 0.074 0.092 0.921
O 0.074 0.908 0.421
O 0.101 0.411 0.072
O 0.101 0.589 0.572
O 0.198 0.295 0.787
O 0.198 0.705 0.287
O 0.234 0.401 0.428
O 0.234 0.599 0.928
O 0.271 0.061 0.581
O 0.271 0.939 0.081
O 0.293 0.298 0.217
O 0.293 0.702 0.717
O 0.394 0.100 0.922
O 0.394 0.900 0.422
O 0.430 0.419 0.074
O 0.430 0.581 0.574
O 0.570 0.419 0.426
O 0.570 0.581 0.926
O 0.606 0.100 0.578
O 0.606 0.900 0.078
O 0.707 0.298 0.283
O 0.707 0.702 0.783
O 0.729 0.061 0.919
O 0.729 0.939 0.419
O 0.766 0.401 0.072
O 0.766 0.599 0.572
O 0.802 0.295 0.713
O 0.802 0.705 0.213
O 0.899 0.411 0.428
O 0.899 0.589 0.928
O 0.926 0.092 0.579
O 0.926 0.908 0.079

No. 5
Density functional theory data (PBE with a Hubbard U) for a relaxed Ti5Fe11O24 crystal.

Properties
- ΔH_f (0 K) (meV/atom) = -2283
- energy above the lowest structure with this stoichiometry (eV/atom) = 0.019
- magnetization (μB/atom) = 1.250
- total DFT energy (no corrections) (Ry per atom) = -0.554

Cell lengths 7.510, 7.571, 8.896 Å; angles 66.97, 66.91, 85.62 degrees
Atoms (fractional coordinates):
Ti 0.000 0.000 0.000
Ti 0.005 0.501 0.997
Ti 0.253 0.251 0.512
Ti 0.505 0.006 0.988
Ti 0.744 0.758 0.515
Fe 0.062 0.567 0.293
Fe 0.063 0.068 0.299
Fe 0.249 0.758 0.502
Fe 0.300 0.810 0.804
Fe 0.319 0.328 0.794
Fe 0.501 0.505 0.003
Fe 0.563 0.068 0.292
Fe 0.563 0.564 0.296
Fe 0.748 0.253 0.506
Fe 0.801 0.807 0.803
Fe 0.812 0.324 0.788
O 0.064 0.242 0.060
O 0.068 0.260 0.403
O 0.091 0.227 0.743
O 0.214 0.599 0.747
O 0.231 0.578 0.052
O 0.251 0.563 0.402
O 0.307 0.002 0.914
O 0.326 0.000 0.544
O 0.336 0.987 0.240
O 0.479 0.339 0.536
O 0.483 0.337 0.244
O 0.503 0.303 0.917
O 0.560 0.755 0.407
O 0.568 0.741 0.059
O 0.580 0.725 0.743
O 0.716 0.077 0.761
O 0.743 0.071 0.059
O 0.754 0.049 0.399
O 0.811 0.510 0.912
O 0.832 0.513 0.535
O 0.841 0.498 0.227
O 0.983 0.839 0.540
O 0.988 0.842 0.231
O 0.998 0.823 0.909

No. 6
Density functional theory data (PBE with a Hubbard U) for a relaxed MgV2O4 crystal.

Properties
- ΔH_f (0 K) (meV/atom) = -2649
- energy above the lowest structure with this stoichiometry (eV/atom) = 0.057
- magnetization (μB/atom) = 0.000
- total DFT energy (no corrections) (Ry per atom) = -0.546

Cell lengths 6.054, 6.054, 20.036 Å; angles 98.71, 98.71, 60.14 degrees
Atoms (fractional coordinates):
Mg 0.000 0.000 0.000
Mg 0.251 0.251 0.750
Mg 0.472 0.472 0.906
Mg 0.501 0.501 0.499
Mg 0.625 0.625 0.373
Mg 0.721 0.721 0.655
Mg 0.750 0.750 0.249
Mg 0.875 0.875 0.125
V 0.001 0.497 0.999
V 0.028 0.028 0.594
V 0.123 0.123 0.877
V 0.222 0.222 0.157
V 0.250 0.749 0.249
V 0.252 0.744 0.750
V 0.278 0.278 0.341
V 0.375 0.375 0.627
V 0.497 0.001 0.999
V 0.500 0.997 0.499
V 0.526 0.526 0.091
V 0.744 0.252 0.750
V 0.749 0.250 0.249
V 0.778 0.778 0.843
V 0.972 0.972 0.406
V 0.997 0.500 0.499
O 0.055 0.055 0.190
O 0.057 0.584 0.190
O 0.062 0.062 0.692
O 0.092 0.556 0.689
O 0.167 0.689 0.059
O 0.187 0.187 0.059
O 0.191 0.663 0.561
O 0.195 0.195 0.561
O 0.302 0.302 0.941
O 0.304 0.843 0.939
O 0.312 0.312 0.442
O 0.331 0.813 0.440
O 0.412 0.942 0.811
O 0.438 0.438 0.805
O 0.442 0.917 0.309
O 0.444 0.444 0.309
O 0.553 0.553 0.689
O 0.556 0.092 0.689
O 0.558 0.558 0.192
O 0.584 0.057 0.190
O 0.663 0.191 0.561
O 0.688 0.688 0.554
O 0.689 0.167 0.059
O 0.693 0.693 0.058
O 0.807 0.807 0.439
O 0.812 0.812 0.941
O 0.813 0.331 0.440
O 0.843 0.304 0.939
O 0.917 0.442 0.309
O 0.941 0.941 0.306
O 0.942 0.412 0.811
O 0.944 0.944 0.810

No. 7
Density functional theory data (PBE with a Hubbard U) for a relaxed BaYCo4O7 crystal.

Properties
- ΔH_f (0 K) (meV/atom) = -2039
- energy above the lowest structure with this stoichiometry (eV/atom) = 0.024
- magnetization (μB/atom) = 1.000
- total DFT energy (no corrections) (Ry per atom) = -0.490

Cell lengths 6.379, 6.379, 10.449 Å; angles 90.15, 90.15, 119.78 degrees
Atoms (fractional coordinates):
Ba 0.164 0.836 0.500
Ba 0.836 0.164 0.000
Y 0.168 0.837 0.892
Y 0.837 0.168 0.392
Co 0.163 0.338 0.702
Co 0.322 0.663 0.202
Co 0.338 0.163 0.202
Co 0.497 0.508 0.457
Co 0.508 0.497 0.957
Co 0.663 0.322 0.702
Co 0.685 0.841 0.702
Co 0.841 0.685 0.202
O 0.006 0.516 0.272
O 0.011 0.016 0.774
O 0.016 0.011 0.274
O 0.167 0.384 0.517
O 0.298 0.624 0.024
O 0.384 0.167 0.017
O 0.482 0.973 0.276
O 0.499 0.506 0.262
O 0.506 0.499 0.762
O 0.516 0.006 0.772
O 0.624 0.298 0.524
O 0.715 0.837 0.516
O 0.837 0.715 0.016
O 0.973 0.482 0.776

No. 8
Density functional theory data (PBE with a Hubbard U) for a relaxed CaHoNi2O6 crystal.

Properties
- ΔH_f (0 K) (meV/atom) = -2146
- magnetization (μB/atom) = 0.100
- total DFT energy (no corrections) (Ry per atom) = -0.442

Cell lengths 7.436, 5.481, 5.276 Å; angles 90.00, 90.00, 90.00 degrees
Atoms (fractional coordinates):
Ca 0.000 0.191 0.000
Ca 0.500 0.809 0.500
Ho 0.000 0.683 0.531
Ho 0.500 0.317 0.031
Ni 0.250 0.245 0.514
Ni 0.250 0.755 0.014
Ni 0.750 0.245 0.514
Ni 0.750 0.755 0.014
O 0.000 0.282 0.428
O 0.000 0.773 0.115
O 0.201 0.948 0.708
O 0.203 0.462 0.805
O 0.297 0.538 0.305
O 0.299 0.052 0.208
O 0.500 0.227 0.615
O 0.500 0.718 0.928
O 0.701 0.052 0.208
O 0.703 0.538 0.305
O 0.797 0.462 0.805
O 0.799 0.948 0.708